No. 1
A relaxed structure of Mg14CuMo, computed with PBE-GGA.

Lattice parameters (Å, degrees): 6.251 6.251 9.795 90.00 90.00 120.00
Fractional positions:
Mg 0.325 0.175 0.874
Mg 0.325 0.651 0.874
Mg 0.833 0.667 0.376
Mg 0.170 0.835 0.625
Mg 0.665 0.330 0.625
Mg 0.665 0.835 0.625
Mg 0.833 0.667 0.874
Mg 0.849 0.175 0.376
Mg 0.325 0.651 0.376
Mg 0.325 0.175 0.376
Mg 0.667 0.334 0.125
Mg 0.166 0.833 0.125
Mg 0.667 0.833 0.125
Mg 0.849 0.175 0.874
Cu 0.167 0.333 0.125
Mo 0.167 0.333 0.625

Output
As for the volume: 331 Å³ per cell. Its theoretical density is 2.504 g cm⁻³. The value obtained for the energy above the most stable polymorph in this dataset is 0 meV per atom. The formation energy is 111 meV per atom. The value obtained for the magnetic moment is 0.01 μB/atom.

---

No. 2
A relaxed structure of SrPuO4, computed with PBE-GGA.

Lattice parameters (Å, degrees): 3.951 3.951 6.567 72.49 72.49 60.00
Fractional positions:
O 0.106 0.106 0.681
O 0.640 0.640 0.079
O 0.894 0.894 0.319
O 0.360 0.360 0.921
Pu 0.000 0.000 0.000
Sr 0.500 0.500 0.500

Output
As for the volume: 83 Å³ per cell. Its theoretical density is 7.890 g cm⁻³. For the energy with MP2020 corrections, the calculation gives -9.1764 eV per atom. The formation energy is -3218 meV per atom.

---

No. 3
A relaxed structure of Ta3In2S6, computed with PBE-GGA.

Lattice parameters (Å, degrees): 8.739 8.739 8.739 38.99 38.99 38.99
Fractional positions:
Ta 0.667 0.667 0.667
Ta 0.000 0.000 0.000
Ta 0.333 0.333 0.333
S 0.270 0.602 0.935
S 0.602 0.935 0.270
S 0.398 0.730 0.065
S 0.935 0.270 0.602
S 0.730 0.065 0.398
S 0.065 0.398 0.730
In 0.167 0.167 0.167
In 0.833 0.833 0.833

Output
As for the volume: 238 Å³ per cell. Its theoretical density is 6.744 g cm⁻³. For the energy with MP2020 corrections, the calculation gives -7.1945 eV per atom. The formation energy is -1204 meV per atom.

---

No. 4
A relaxed structure of ErSb2, computed with PBE-GGA.

Lattice parameters (Å, degrees): 3.612 3.612 7.605 90.00 90.00 121.33
Fractional positions:
Er 0.000 0.000 0.000
Sb 0.500 0.000 0.678
Sb 0.000 0.500 0.322

Output
As for the volume: 85 Å³ per cell. Its theoretical density is 8.048 g cm⁻³. For the energy with MP2020 corrections, the calculation gives -4.5954 eV per atom. The formation energy is -320 meV per atom. The value obtained for the magnetic moment is 0.00 μB/atom.

---

No. 5
A relaxed structure of Ce12C6I17, computed with PBE-GGA.

Lattice parameters (Å, degrees): 11.743 11.743 19.270 89.80 89.80 64.65
Fractional positions:
C 0.278 0.633 0.349
C 0.466 0.467 0.012
C 0.533 0.534 0.488
C 0.165 0.745 0.346
C 0.534 0.533 0.988
C 0.722 0.367 0.651
C 0.835 0.255 0.654
C 0.633 0.278 0.849
C 0.367 0.722 0.151
C 0.745 0.165 0.846
C 0.255 0.835 0.154
C 0.467 0.466 0.512
I 0.806 0.284 0.140
I 0.499 0.028 0.744
I 0.601 0.089 0.052
I 0.627 0.576 0.291
I 0.885 0.901 0.695
I 0.900 0.396 0.942
I 0.115 0.099 0.305
I 0.028 0.499 0.244
I 0.399 0.911 0.948
I 0.576 0.627 0.791
I 0.207 0.186 0.101
I 0.424 0.373 0.209
I 0.186 0.207 0.601
I 0.373 0.424 0.709
I 0.396 0.900 0.442
I 0.194 0.716 0.860
I 0.716 0.194 0.360
I 0.691 0.714 0.603
I 0.793 0.814 0.899
I 0.604 0.100 0.558
I 0.286 0.309 0.897
I 0.714 0.691 0.103
I 0.089 0.601 0.552
I 0.284 0.806 0.640
I 0.100 0.604 0.058
I 0.000 0.000 0.500
I 0.911 0.399 0.448
I 0.814 0.793 0.399
I 0.972 0.501 0.756
I 0.901 0.885 0.195
I 0.309 0.286 0.397
I 0.501 0.972 0.256
I 0.000 0.000 0.000
I 0.099 0.115 0.805
Ce 0.643 0.643 0.451
Ce 0.298 0.714 0.022
Ce 0.098 0.574 0.384
Ce 0.020 0.073 0.655
Ce 0.927 0.980 0.845
Ce 0.702 0.286 0.978
Ce 0.426 0.902 0.116
Ce 0.574 0.098 0.884
Ce 0.902 0.426 0.616
Ce 0.980 0.927 0.345
Ce 0.545 0.536 0.127
Ce 0.286 0.702 0.478
Ce 0.073 0.020 0.155
Ce 0.464 0.455 0.373
Ce 0.536 0.545 0.627
Ce 0.194 0.662 0.212
Ce 0.662 0.194 0.712
Ce 0.455 0.464 0.873
Ce 0.338 0.806 0.288
Ce 0.357 0.357 0.549
Ce 0.643 0.643 0.951
Ce 0.714 0.298 0.522
Ce 0.806 0.338 0.788
Ce 0.357 0.357 0.049

Output
As for the volume: 2401 Å³ per cell. Its theoretical density is 5.409 g cm⁻³. For the energy with MP2020 corrections, the calculation gives -5.6213 eV per atom. The formation energy is -1265 meV per atom. The value obtained for the magnetic moment is 0.38 μB/atom.

---

No. 6
A relaxed structure of V2GaFe, computed with PBE-GGA.

Lattice parameters (Å, degrees): 2.604 2.604 8.056 90.00 90.00 105.69
Fractional positions:
Ga 0.500 0.500 0.240
Fe 0.000 0.000 0.997
V 0.500 0.500 0.758
V 0.000 0.000 0.505

Output
As for the volume: 53 Å³ per cell. Its theoretical density is 7.180 g cm⁻³. The formation energy is -86 meV per atom. The value obtained for the magnetic moment is 0.42 μB/atom.

---

No. 7
A relaxed structure of AgBF5, computed with PBE-GGA.

Lattice parameters (Å, degrees): 6.834 6.834 4.112 90.00 90.00 90.00
Fractional positions:
F 0.565 0.657 0.802
F 0.065 0.157 0.198
F 0.657 0.435 0.198
F 0.343 0.565 0.198
F 0.843 0.065 0.802
F 0.157 0.935 0.802
F 0.000 0.500 0.680
F 0.500 0.000 0.320
F 0.935 0.843 0.198
F 0.435 0.343 0.802
B 0.500 0.500 0.000
B 0.000 0.000 0.000
Ag 0.500 0.000 0.820
Ag 0.000 0.500 0.180

Output
As for the volume: 192 Å³ per cell. Its theoretical density is 3.694 g cm⁻³. For the energy with MP2020 corrections, the calculation gives -5.1517 eV per atom. The formation energy is -2425 meV per atom.

---

No. 8
A relaxed structure of Ho5Tl3, computed with PBE-GGA.

Lattice parameters (Å, degrees): 8.961 8.961 6.719 90.00 90.00 120.00
Fractional positions:
Tl 0.000 0.403 0.750
Tl 0.597 0.597 0.750
Tl 0.000 0.597 0.250
Tl 0.403 0.000 0.750
Tl 0.403 0.403 0.250
Tl 0.597 0.000 0.250
Ho 0.765 0.000 0.750
Ho 0.765 0.765 0.250
Ho 0.333 0.667 0.000
Ho 0.667 0.333 0.500
Ho 0.235 0.000 0.250
Ho 0.000 0.765 0.750
Ho 0.235 0.235 0.750
Ho 0.667 0.333 0.000
Ho 0.333 0.667 0.500
Ho 0.000 0.235 0.250

Output
As for the volume: 467 Å³ per cell. Its theoretical density is 10.219 g cm⁻³. The value obtained for the energy above the most stable polymorph in this dataset is 0 meV per atom. The formation energy is -297 meV per atom.

---

- Which formula does entry 1 have?
  Mg14CuMo

---

Repeat the fifth record exactly.
A relaxed structure of Ce12C6I17, computed with PBE-GGA.

Lattice parameters (Å, degrees): 11.743 11.743 19.270 89.80 89.80 64.65
Fractional positions:
C 0.278 0.633 0.349
C 0.466 0.467 0.012
C 0.533 0.534 0.488
C 0.165 0.745 0.346
C 0.534 0.533 0.988
C 0.722 0.367 0.651
C 0.835 0.255 0.654
C 0.633 0.278 0.849
C 0.367 0.722 0.151
C 0.745 0.165 0.846
C 0.255 0.835 0.154
C 0.467 0.466 0.512
I 0.806 0.284 0.140
I 0.499 0.028 0.744
I 0.601 0.089 0.052
I 0.627 0.576 0.291
I 0.885 0.901 0.695
I 0.900 0.396 0.942
I 0.115 0.099 0.305
I 0.028 0.499 0.244
I 0.399 0.911 0.948
I 0.576 0.627 0.791
I 0.207 0.186 0.101
I 0.424 0.373 0.209
I 0.186 0.207 0.601
I 0.373 0.424 0.709
I 0.396 0.900 0.442
I 0.194 0.716 0.860
I 0.716 0.194 0.360
I 0.691 0.714 0.603
I 0.793 0.814 0.899
I 0.604 0.100 0.558
I 0.286 0.309 0.897
I 0.714 0.691 0.103
I 0.089 0.601 0.552
I 0.284 0.806 0.640
I 0.100 0.604 0.058
I 0.000 0.000 0.500
I 0.911 0.399 0.448
I 0.814 0.793 0.399
I 0.972 0.501 0.756
I 0.901 0.885 0.195
I 0.309 0.286 0.397
I 0.501 0.972 0.256
I 0.000 0.000 0.000
I 0.099 0.115 0.805
Ce 0.643 0.643 0.451
Ce 0.298 0.714 0.022
Ce 0.098 0.574 0.384
Ce 0.020 0.073 0.655
Ce 0.927 0.980 0.845
Ce 0.702 0.286 0.978
Ce 0.426 0.902 0.116
Ce 0.574 0.098 0.884
Ce 0.902 0.426 0.616
Ce 0.980 0.927 0.345
Ce 0.545 0.536 0.127
Ce 0.286 0.702 0.478
Ce 0.073 0.020 0.155
Ce 0.464 0.455 0.373
Ce 0.536 0.545 0.627
Ce 0.194 0.662 0.212
Ce 0.662 0.194 0.712
Ce 0.455 0.464 0.873
Ce 0.338 0.806 0.288
Ce 0.357 0.357 0.549
Ce 0.643 0.643 0.951
Ce 0.714 0.298 0.522
Ce 0.806 0.338 0.788
Ce 0.357 0.357 0.049

Output
As for the volume: 2401 Å³ per cell. Its theoretical density is 5.409 g cm⁻³. For the energy with MP2020 corrections, the calculation gives -5.6213 eV per atom. The formation energy is -1265 meV per atom. The value obtained for the magnetic moment is 0.38 μB/atom.